Compound: AlCrF5
Source: Materials Project
Functional: r²SCAN
Structure: relaxed

Cell: 3.6004 6.1934 7.4603 Å, 90.00 90.00 90.00°
Space group Immm (No. 71)
One atom of each set of equivalent atoms:
Al  0.0000  0.0000  0.0000
Cr  0.0000  0.0000  0.5000
F  0.0000  0.0000  0.2394
F  0.0000  0.2918  0.0000
F  0.0000  0.5000  0.5000

ΔE_f in eV per formula unit: -23.27